First-principles (r2SCAN) data for a relaxed Lu2S3 crystal, as listed in the Materials Project.

Output
total DFT energy (no corrections): -22.406 eV per atom
ρ: 6.3 g/cm³
space-group type: R-3c, No. 167
energy of formation: -2.3540 eV/atom

Cell lengths 7.1723, 7.1723, 7.1723 Å; angles 55.69, 55.69, 55.69 degrees
With the nearest neighbours (Å) after each atom.
Atoms (fractional coordinates):
S: 0.4459 0.0541 0.7500  4 Lu 2.64-2.71
Lu: 0.1510 0.1510 0.1510  6 S 2.64-2.71
Lu: 0.8490 0.8490 0.8490  6 S 2.64-2.71
S: 0.5541 0.9459 0.2500  4 Lu 2.64-2.71
S: 0.9459 0.2500 0.5541  4 Lu 2.64-2.71
S: 0.7500 0.4459 0.0541  4 Lu 2.64-2.71
Lu: 0.6510 0.6510 0.6510  6 S 2.64-2.71
S: 0.0541 0.7500 0.4459  4 Lu 2.64-2.71
S: 0.2500 0.5541 0.9459  4 Lu 2.64-2.71
Lu: 0.3490 0.3490 0.3490  6 S 2.64-2.71